[1]
DFT (PBE with a Hubbard U) results for a geometry-optimized TiMn3O8 structure.

Output
V = 567 Å³ per cell
Total energy after the MP2020 corrections = -100.6 eV per formula unit
Formation energy from the elements = -2.1399 eV/atom
Relative energy among the computed polymorphs = 47.9 meV per atom

Cell and atoms, written as CIF:
```
data_TiMn3O8
_chemical_formula_sum 'Ti4 Mn12 O32'
_cell_length_a 8.2755
_cell_length_b 8.2755
_cell_length_c 8.2755
_cell_angle_alpha 90.00
_cell_angle_beta 90.00
_cell_angle_gamma 90.00
_space_group_name_H-M_alt 'P 43 3 2'
_space_group_IT_number 212
_space_group_name_Hall 'P 4acd 2ab 3'
loop_
_atom_site_label
_atom_site_fract_x
_atom_site_fract_y
_atom_site_fract_z
_atom_site_occupancy
Ti1 0.1250 0.1250 0.1250 1
Mn1 0.1223 0.8723 0.8750 1
O1 0.1060 0.8860 0.1090 1
O2 0.1115 0.3885 0.6115 1
```

***

[2]
DFT (PBE with a Hubbard U) results for a geometry-optimized LiCoB2O5 structure.

Output
V = 884 Å³ per cell
Total energy after the MP2020 corrections = -67.9 eV per formula unit
Formation energy from the elements = -2.3105 eV/atom

Cell and atoms, written as CIF:
```
data_LiCoB2O5
_chemical_formula_sum 'Li8 Co8 B16 O40'
_cell_length_a 10.2795
_cell_length_b 10.3628
_cell_length_c 9.6672
_cell_angle_alpha 90.00
_cell_angle_beta 120.86
_cell_angle_gamma 90.00
_space_group_name_H-M_alt 'C 1 2/c 1'
_space_group_IT_number 15
loop_
_space_group_symop_operation_xyz
'x,y,z'
'-x,-y,-z'
'-x,y,-z+1/2'
'x,-y,z+1/2'
'x+1/2,y+1/2,z'
'-x+1/2,-y+1/2,-z'
'-x+1/2,y+1/2,-z+1/2'
'x+1/2,-y+1/2,z+1/2'
loop_
_atom_site_label
_atom_site_fract_x
_atom_site_fract_y
_atom_site_fract_z
_atom_site_occupancy
Li1 0.0000 0.1200 0.2500 1
Li2 0.0000 0.3375 0.7500 1
Co1 0.1936 0.3446 0.1478 1
B1 0.0683 0.1694 0.5267 1
B2 0.2339 0.4965 0.9062 1
O1 0.0529 0.2187 0.1116 1
O2 0.1120 0.2067 0.6787 1
O3 0.1426 0.0738 0.4861 1
O4 0.1559 0.4847 0.2441 1
O5 0.1909 0.3958 0.9658 1
```

***

[3]
DFT (PBE with a Hubbard U) results for a geometry-optimized K3Mn4O8 structure.

Output
V = 824 Å³ per cell
Total energy after the MP2020 corrections = -109.0 eV per formula unit
Formation energy from the elements = -1.9598 eV/atom

Cell and atoms, written as CIF:
```
data_K3Mn4O8
_chemical_formula_sum 'K12 Mn16 O32'
_cell_length_a 6.3884
_cell_length_b 10.3562
_cell_length_c 13.1920
_cell_angle_alpha 71.62
_cell_angle_beta 85.28
_cell_angle_gamma 84.99
_space_group_name_H-M_alt 'P 1'
_space_group_IT_number 1
loop_
_space_group_symop_operation_xyz
'x,y,z'
loop_
_atom_site_label
_atom_site_fract_x
_atom_site_fract_y
_atom_site_fract_z
_atom_site_occupancy
K1 0.0000 0.0000 0.0000 1
K2 0.0064 0.9907 0.4989 1
K3 0.2212 0.3707 0.9933 1
K4 0.2341 0.3453 0.4952 1
K5 0.2583 0.6998 0.9982 1
K6 0.2856 0.6812 0.4945 1
K7 0.4895 0.0714 0.9973 1
K8 0.5043 0.9932 0.4996 1
K9 0.7280 0.3674 0.9956 1
K10 0.7348 0.3450 0.4985 1
K11 0.7516 0.7098 0.9976 1
K12 0.7869 0.6868 0.4999 1
Mn1 0.0035 0.0299 0.2495 1
Mn2 0.2368 0.7818 0.2430 1
Mn3 0.2422 0.2812 0.7511 1
Mn4 0.2462 0.7852 0.7429 1
Mn5 0.2507 0.2798 0.2476 1
Mn6 0.4872 0.5309 0.2431 1
Mn7 0.4903 0.5338 0.7436 1
Mn8 0.4906 0.0344 0.7448 1
Mn9 0.5010 0.0310 0.2485 1
Mn10 0.7410 0.7813 0.2467 1
Mn11 0.7446 0.2810 0.7530 1
Mn12 0.7450 0.7847 0.7429 1
Mn13 0.7593 0.2803 0.2541 1
Mn14 0.9920 0.5311 0.2473 1
Mn15 0.9974 0.0327 0.7486 1
Mn16 0.9980 0.5324 0.7500 1
O1 0.0091 0.2327 0.6752 1
O2 0.0093 0.3382 0.8389 1
O3 0.0127 0.7343 0.6666 1
O4 0.0162 0.2310 0.1738 1
O5 0.0179 0.3397 0.3350 1
O6 0.0178 0.8393 0.8333 1
O7 0.0204 0.8377 0.3368 1
O8 0.2217 0.4702 0.6634 1
O9 0.2233 0.4714 0.1603 1
O10 0.2242 0.5811 0.3211 1
O11 0.2255 0.9762 0.6605 1
O12 0.2317 0.9735 0.1630 1
O13 0.2645 0.0908 0.8338 1
O14 0.2660 0.5956 0.8298 1
O15 0.2714 0.0936 0.3340 1
O16 0.4723 0.2276 0.6625 1
O17 0.4760 0.2260 0.1579 1
O18 0.4761 0.3324 0.8279 1
O19 0.4756 0.7211 0.1604 1
O20 0.4779 0.7287 0.6538 1
O21 0.4796 0.8334 0.8187 1
O22 0.4850 0.3336 0.3216 1
O23 0.5198 0.8378 0.3375 1
O24 0.7271 0.4712 0.6647 1
O25 0.7318 0.9780 0.6622 1
O26 0.7346 0.9755 0.1633 1
O27 0.7594 0.0881 0.8328 1
O28 0.7599 0.5845 0.3342 1
O29 0.7604 0.5935 0.8304 1
O30 0.7606 0.4774 0.1726 1
O31 0.7684 0.0917 0.3331 1
O32 0.9720 0.7211 0.1586 1
```

***

[4]
DFT (PBE with a Hubbard U) results for a geometry-optimized Mg7Mn5O12 structure.

Output
V = 251 Å³ per cell
Total energy after the MP2020 corrections = -178.3 eV per formula unit
Formation energy from the elements = -2.5778 eV/atom

Cell and atoms, written as CIF:
```
data_Mg7Mn5O12
_chemical_formula_sum 'Mg7 Mn5 O12'
_cell_length_a 3.0872
_cell_length_b 3.0872
_cell_length_c 30.3880
_cell_angle_alpha 90.00
_cell_angle_beta 90.00
_cell_angle_gamma 120.00
_space_group_name_H-M_alt 'P 3 m 1'
_space_group_IT_number 156
loop_
_space_group_symop_operation_xyz
'x,y,z'
'-y,x-y,z'
'-x+y,-x,z'
'-y,-x,z'
'-x+y,y,z'
'x,x-y,z'
loop_
_atom_site_label
_atom_site_fract_x
_atom_site_fract_y
_atom_site_fract_z
_atom_site_occupancy
Mg1 0.0000 0.0000 0.0000 1
Mg2 0.0000 0.0000 0.2443 1
Mg3 0.0000 0.0000 0.4984 1
Mg4 0.0000 0.0000 0.7505 1
Mg5 0.3333 0.6667 0.1632 1
Mg6 0.3333 0.6667 0.9185 1
Mg7 0.6667 0.3333 0.0817 1
Mn1 0.3333 0.6667 0.4158 1
Mn2 0.3333 0.6667 0.6674 1
Mn3 0.6667 0.3333 0.3283 1
Mn4 0.6667 0.3333 0.5807 1
Mn5 0.6667 0.3333 0.8341 1
O1 0.0000 0.0000 0.1225 1
O2 0.0000 0.0000 0.3722 1
O3 0.0000 0.0000 0.6240 1
O4 0.0000 0.0000 0.8788 1
O5 0.3333 0.6667 0.0408 1
O6 0.3333 0.6667 0.2838 1
O7 0.3333 0.6667 0.5370 1
O8 0.3333 0.6667 0.7896 1
O9 0.6667 0.3333 0.2038 1
O10 0.6667 0.3333 0.4598 1
O11 0.6667 0.3333 0.7114 1
O12 0.6667 0.3333 0.9592 1
```